First-principles (PBE-GGA) data for a relaxed structure of PuB4Ru4, as listed in Materials Project.

a b c (Å): 7.453 7.453 15.046
angles (deg): 90.00 90.00 90.00
Space group I4_1/acd (No. 142, origin choice 2)
Asymmetric unit:
Pu: 0.000 0.250 0.125 (multiplicity 8)
B: 0.141 0.082 0.292 (multiplicity 32)
Ru: 0.115 0.099 0.437 (multiplicity 32)

Summary:
**Energy relative to the elements**: -0.242 eV/atom